The following is a DFT calculation (PBE) of crystalline Al3P2H8O14 at its relaxed geometry.

Geometry as extended XYZ:
```
54
Lattice="-0.215 1.865 7.195 7.026 0.569 3.410 2.427 9.685 1.201" Properties=species:S:1:pos:R:3 pbc="T T T"
Al 6.218 4.210 8.376
Al 1.757 4.065 6.357
Al 3.020 7.909 3.429
Al 4.048 3.126 3.743
Al 5.189 8.993 8.063
Al 7.480 8.054 5.449
O 2.622 5.704 6.903
O 5.429 2.660 7.670
O 6.490 7.958 7.107
O 8.170 10.036 10.886
O 1.969 7.764 5.137
O 2.748 4.161 4.699
O 8.590 9.421 6.132
O 1.932 6.542 2.686
O 5.800 8.078 9.649
O 6.616 6.415 4.903
O 6.504 10.327 8.408
O 4.649 2.222 5.325
O 5.297 2.109 2.706
O 4.588 9.897 6.480
O 4.177 6.641 4.197
O 7.305 5.577 9.119
O 0.647 2.698 5.673
O 3.848 7.697 7.748
O 2.963 2.888 7.152
O 3.438 4.041 2.156
O 7.269 4.355 6.669
O 2.733 1.793 3.398
O 5.061 5.479 7.609
O 6.275 9.232 4.654
O 3.941 10.010 9.100
O 3.809 9.459 4.135
O 5.390 4.422 4.058
O 1.068 2.083 0.919
H 8.304 10.345 6.285
H 2.296 5.684 2.390
H 7.680 10.103 10.037
H 7.044 5.092 6.036
H 1.186 3.898 3.530
H 8.052 8.221 8.275
H 2.194 7.027 5.769
H 7.230 3.079 4.489
H 4.190 10.958 9.061
H 2.008 9.040 7.317
H 6.210 7.024 7.243
H 5.047 1.161 2.744
H 6.941 6.435 9.416
H 3.027 5.096 4.562
H 0.934 1.774 5.520
H 1.557 2.017 1.769
P 3.712 6.157 7.900
P 4.262 2.135 6.824
P 5.525 5.962 3.905
P 4.976 9.984 4.981
```

V = 486 Å³ per cell
crystal system = triclinic
symmetry = P-1 (2)


The following is a DFT calculation (PBE) of crystalline Al2P3H11O13 at its relaxed geometry.

Geometry as extended XYZ:
```
58
Lattice="10.049 0.000 0.000 0.000 7.722 0.000 0.000 3.034 7.605" Properties=species:S:1:pos:R:3 pbc="T T T"
H 0.885 2.780 1.815
H 0.990 6.714 1.621
H 6.030 8.102 1.726
H 8.330 9.351 6.982
H 1.005 2.654 5.879
H 1.830 7.273 2.875
H 9.537 3.774 6.858
H 6.015 4.042 5.984
H 8.939 5.879 4.068
H 8.119 4.198 2.864
H 2.304 3.452 2.271
H 3.094 6.559 4.741
H 9.736 6.864 5.057
H 7.329 7.305 5.334
H 3.944 7.377 3.722
H 6.854 3.483 4.730
H 8.969 3.379 3.883
H 3.914 4.877 3.537
H 3.305 1.405 0.623
H 4.712 3.892 2.548
H 4.512 6.982 0.747
H 5.910 7.976 5.789
Al 9.278 8.166 2.801
Al 4.253 2.591 4.804
Al 6.497 3.443 0.189
Al 1.472 7.313 7.416
O 5.159 4.712 0.629
O 0.186 5.497 0.526
O 5.099 9.095 3.644
O 4.501 9.041 6.177
O 6.308 2.752 1.926
O 1.585 3.452 1.603
O 3.364 6.585 3.792
O 0.135 6.044 6.976
O 2.576 1.960 4.250
O 5.211 5.259 7.079
O 6.030 3.360 5.264
O 7.872 4.563 0.910
O 9.092 6.837 4.310
O 9.526 1.716 1.428
O 1.283 8.004 5.679
O 6.610 7.305 6.002
O 1.005 7.396 2.341
O 7.601 8.797 3.355
O 7.767 5.225 7.217
O 3.476 3.877 5.918
O 2.847 6.193 6.695
O 0.075 1.662 3.961
O 2.743 5.532 0.388
O 8.501 6.879 1.686
O 4.068 3.920 3.295
O 8.389 4.172 3.813
P 4.217 5.787 0.069
P 9.241 4.969 7.536
P 8.731 5.799 0.625
P 3.706 4.957 6.980
P 1.256 9.356 4.951
P 6.281 1.400 2.654
```

V = 590 Å³ per cell
crystal system = monoclinic
symmetry = P2_1 (4)


The following is a DFT calculation (PBE) of crystalline Al2PH3O7 at its relaxed geometry.

Geometry as extended XYZ:
```
26
Lattice="4.064 6.637 0.000 -4.064 6.637 0.000 0.000 1.955 4.776" Properties=species:S:1:pos:R:3 pbc="T T T"
H 2.008 8.699 1.426
H 2.008 6.529 3.350
H 0.000 2.850 2.877
H 0.000 12.378 1.899
H -2.008 6.529 3.350
H -2.008 8.699 1.426
O -1.275 6.150 1.353
O 0.000 9.833 1.449
O 2.601 6.862 4.049
O 0.000 12.531 0.934
O 0.000 11.286 3.503
O 2.601 8.366 0.727
O -1.275 9.078 3.423
O -2.601 6.862 4.049
O 0.000 3.943 1.273
O 0.000 5.395 3.327
O 1.275 9.078 3.423
O -2.601 8.366 0.727
O 0.000 2.698 3.842
O 1.275 6.150 1.353
Al 0.000 2.552 0.091
Al -2.446 6.637 0.000
Al 0.000 12.677 4.685
Al 2.446 6.637 0.000
P 0.000 5.405 1.775
P 0.000 9.824 3.001
```

V = 258 Å³ per cell
crystal system = monoclinic
symmetry = C2/m (12)


The following is a DFT calculation (PBE) of crystalline AlP3H10O11 at its relaxed geometry.

Geometry as extended XYZ:
```
100
Lattice="-6.791 2.729 -4.170 7.893 -6.288 -16.968 -2.839 -5.800 0.829" Properties=species:S:1:pos:R:3 pbc="T T T"
H -1.147 -2.582 -2.320
H -0.502 -5.598 -16.417
H -6.441 -2.237 -2.346
H -0.453 -4.559 -6.694
H -0.528 -8.366 -14.310
H -0.850 -1.945 -0.657
H -0.021 -8.063 -11.250
H -6.585 -3.357 -7.624
H 0.778 -6.648 -8.481
H 4.423 -7.875 -15.328
H -1.965 -7.220 -7.058
H 1.487 -4.688 -14.860
H -7.476 -4.170 -4.597
H 2.911 -9.764 -12.317
H -0.281 -2.565 -17.704
H 0.002 -2.170 -13.990
H -5.519 -1.864 -5.188
H -0.974 -3.187 -9.774
H 2.185 -6.397 -12.808
H -3.917 -2.379 -8.984
H 5.034 -6.446 -18.060
H -1.230 -8.113 -19.552
H 5.068 -4.866 -15.497
H -2.482 -2.860 -8.836
H -2.185 -2.036 -11.925
H 4.839 -6.018 -12.683
H -2.534 -6.413 -3.513
H -3.232 -4.687 -5.447
H -0.172 -4.169 -2.980
H -1.356 -8.341 -17.765
H 2.223 -3.220 -13.702
H -5.502 -1.338 -7.743
H -1.105 -6.871 -10.435
H -5.221 -5.613 -7.122
H -2.676 -3.515 -6.982
H -1.087 -4.826 -12.867
H -0.556 -8.758 -16.541
H 1.258 -8.862 -11.056
H -2.064 -2.737 -5.750
H -2.103 -2.483 -3.499
Al -3.643 -4.711 -10.090
Al 2.238 -3.968 -10.316
Al -3.271 -3.666 -1.506
Al 1.866 -5.012 -18.901
O -3.657 -5.948 -11.493
O 4.465 -6.873 -12.312
O -3.392 -3.241 -8.772
O -4.082 -4.780 -2.762
O -6.064 -1.838 -7.093
O -1.388 -7.235 -19.055
O 3.333 -10.176 -17.135
O -2.000 -1.296 -4.513
O 3.669 -4.594 -18.567
O -1.743 -4.269 -10.612
O 5.638 -4.842 -13.599
O -4.242 -0.851 -9.079
O 0.218 -5.276 -6.615
O 1.441 -4.387 -8.676
O -2.822 -5.880 -8.799
O -2.224 -2.545 -0.192
O -0.125 -1.665 -1.320
O -5.549 -0.159 -3.034
O -0.866 -2.416 -9.113
O -7.058 -4.234 -7.747
O -3.863 -5.439 -5.232
O -2.123 -5.096 -0.917
O 2.903 -5.674 -10.666
O -5.342 -5.117 -9.438
O -0.648 -6.484 -11.262
O 1.269 -5.668 -14.827
O -4.231 -3.332 -11.226
O -0.979 -2.088 -13.978
O -1.820 -3.153 -2.768
O 1.700 -3.046 -14.518
O 0.415 -7.751 -15.840
O 3.800 -3.358 -9.465
O 1.643 -6.011 -17.342
O -4.100 -2.095 -2.123
O -2.126 -3.634 -6.174
O 0.677 -4.309 -11.391
O -5.191 -2.308 -4.372
O -1.378 -7.914 -9.294
O -0.896 -9.638 -19.713
O 0.239 -9.009 -11.124
O -0.022 -5.093 -19.273
O 2.656 -8.196 -11.275
O 4.430 -5.057 -16.222
O -1.333 -9.097 -17.128
P 1.293 -5.581 -7.740
P 0.696 -6.299 -16.165
P -2.434 -7.278 -8.374
P -1.758 -1.177 -12.940
P -5.310 -1.661 -2.929
P 4.846 -5.097 -17.752
P -6.148 -5.461 -8.175
P -3.849 -5.951 -3.730
P -0.696 -4.926 -11.529
P -8.714 -3.616 -4.259
P 5.583 -8.588 -15.643
P 2.994 -6.789 -11.721
```

V = 1083 Å³ per cell
crystal system = orthorhombic
symmetry = Pna2_1 (33)


The following is a DFT calculation (PBE) of crystalline AlP2H2O9 at its relaxed geometry.

Geometry as extended XYZ:
```
42
Lattice="0.075 -4.964 -5.487 7.768 -4.007 -0.728 0.383 -8.625 3.383" Properties=species:S:1:pos:R:3 pbc="T T T"
O 0.722 -1.756 0.123
O 6.804 -7.676 -2.259
O 2.757 -11.126 -3.657
O 6.538 -10.113 -2.485
O 3.418 -8.643 1.608
O 6.024 -4.790 -0.906
O 7.942 -9.746 0.338
O 3.606 -5.588 -0.603
O 0.283 -7.850 -3.171
O 5.710 -10.888 0.698
O 1.688 -7.483 -0.348
O 1.104 -5.157 -1.449
O 2.957 -11.668 0.965
O 2.202 -12.807 -1.927
O 1.422 -9.921 -0.574
O 0.521 -8.800 1.517
O 1.938 -3.872 0.742
O 6.287 -13.725 -3.575
O 4.113 -8.798 -1.416
O 4.808 -8.953 -4.441
O 2.516 -6.708 -3.531
O 4.620 -12.008 -2.230
O 7.122 -12.439 -1.384
O 5.468 -6.471 0.825
O 7.504 -15.840 -2.956
O 7.704 -8.796 -4.350
O 5.269 -5.929 -3.798
P 3.286 -12.369 -2.903
P 7.505 -8.973 -2.859
P 1.358 -7.566 -4.213
P 6.868 -10.030 1.381
P 0.721 -8.624 0.026
P 4.940 -5.227 0.070
H 5.399 -10.541 -0.164
H 4.026 -9.035 -3.861
H 2.826 -7.055 -2.668
H 4.200 -8.561 1.028
H 7.383 -6.901 -2.074
H 0.843 -10.695 -0.759
Al 6.375 -11.931 -3.020
Al 0.000 0.000 0.000
Al 1.851 -5.666 0.187
```

V = 490 Å³ per cell
crystal system = triclinic
symmetry = P-1 (2)


The following is a DFT calculation (PBE) of crystalline AlP3H6O12 at its relaxed geometry.

Geometry as extended XYZ:
```
44
Lattice="-2.236 -1.609 4.136 7.183 -2.247 3.010 2.295 10.352 5.267" Properties=species:S:1:pos:R:3 pbc="T T T"
O 5.370 2.615 5.183
O 1.853 1.206 6.971
O 1.048 5.486 5.489
O 5.458 5.966 7.843
O 1.871 3.881 7.230
O 6.290 8.321 8.382
O 0.457 7.288 8.481
O -0.247 0.205 3.129
O 4.000 0.567 5.783
O 3.028 4.020 4.945
O 2.014 -0.366 2.209
O 4.884 7.737 6.121
O 6.124 3.083 9.909
O 3.241 5.929 6.630
O 6.193 1.010 6.924
O 5.389 5.290 5.442
O 5.227 6.862 10.203
O 2.358 -1.241 6.292
O 1.784 0.531 4.570
O 6.784 -0.792 3.932
O 1.117 3.413 2.504
O 7.488 6.292 9.284
O 4.213 2.476 7.468
O 0.951 -1.824 4.031
Al 4.739 4.052 4.138
Al 3.591 -1.123 1.505
H 1.250 7.409 9.040
H 5.992 -0.913 3.373
H 1.919 8.807 4.939
H 7.059 1.085 6.331
H 7.538 5.780 10.202
H 5.268 2.917 9.466
H 5.322 -2.311 7.474
H 8.349 4.217 6.630
H -1.108 2.279 5.783
H 0.182 5.411 6.082
H 1.973 3.579 2.947
H -0.296 0.716 2.211
P 1.139 -0.447 3.432
P 4.791 6.265 6.420
P 4.952 1.765 6.353
P 6.102 6.943 8.981
P 2.290 4.731 6.060
P 2.451 0.231 5.992
```

V = 475 Å³ per cell
crystal system = monoclinic
symmetry = P2/c (13)


Number 1: DFT formation energy -2.231 eV/atom. Number 2: DFT formation energy -1.938 eV/atom. Number 3: DFT formation energy -2.547 eV/atom. Number 4: DFT formation energy -1.778 eV/atom. Number 5: DFT formation energy -2.034 eV/atom. Number 6: DFT formation energy -2.207 eV/atom.